ThSO6: relaxed, PBE.

The structure in POSCAR format:
```
ThSO6
1.0
6.326 0.000 0.000
0.000 7.364 0.000
0.000 0.000 11.947
Th S O
4 4 24
direct
0.250 0.327 0.577 Th
0.250 0.173 0.077 Th
0.750 0.673 0.423 Th
0.750 0.827 0.923 Th
0.250 0.555 0.862 S
0.250 0.945 0.362 S
0.750 0.445 0.138 S
0.750 0.055 0.638 S
0.250 0.456 0.971 O
0.250 0.044 0.471 O
0.750 0.544 0.029 O
0.750 0.956 0.529 O
0.250 0.420 0.769 O
0.250 0.080 0.269 O
0.750 0.580 0.231 O
0.750 0.920 0.731 O
0.059 0.670 0.852 O
0.441 0.830 0.352 O
0.559 0.330 0.148 O
0.941 0.170 0.648 O
0.941 0.330 0.148 O
0.559 0.170 0.648 O
0.441 0.670 0.852 O
0.059 0.830 0.352 O
0.001 0.059 0.948 O
0.499 0.441 0.448 O
0.501 0.941 0.052 O
0.999 0.559 0.552 O
0.999 0.941 0.052 O
0.501 0.559 0.552 O
0.499 0.059 0.948 O
0.001 0.441 0.448 O
```

Properties
The total DFT energy (no corrections) comes out at -7.24 eV per atom. The space-group type is Pnma (62). The value obtained for the magnetic moment is 0.000 μB per formula unit. As for the formation energy: -2.44 eV/atom.